Material: Li3FeS3
Method: DFT, GGA-PBE
State: optimized geometry

a = 12.8867 Å, b = 6.5546 Å, c = 6.6696 Å
α = 64.25°, β = 90.00°, γ = 90.00°
Element x y z (fractional)
Li1 0.0616 0.3035 0.0219
Li2 0.7827 0.6535 0.6843
S1 0.3548 0.9968 0.8260
Li3 0.2173 0.3465 0.3157
Li4 0.7173 0.6535 0.1843
Li5 0.3206 0.9408 0.2073
Fe1 0.0714 0.6874 0.3401
Li6 0.5616 0.6965 0.4781
Li7 0.9384 0.6965 0.9781
Li8 0.8206 0.0592 0.2927
Fe2 0.9286 0.3126 0.6599
Fe3 0.5714 0.3126 0.1599
S2 0.8803 0.3556 0.9588
S3 0.8895 0.6562 0.3559
Fe4 0.4286 0.6874 0.8401
Li9 0.2827 0.3465 0.8157
S4 0.1105 0.3438 0.6441
S5 0.6197 0.3556 0.4588
S6 0.1452 0.9968 0.3260
Li10 0.4384 0.3035 0.5219
S7 0.3803 0.6444 0.5412
S8 0.6452 0.0032 0.1740
S9 0.1197 0.6444 0.0412
S10 0.8548 0.0032 0.6740
Li11 0.1794 0.9408 0.7073
Li12 0.6794 0.0592 0.7927
S11 0.6105 0.6562 0.8559
S12 0.3895 0.3438 0.1441

Uncorrected energy (eV/cell): -131.065
Calculated formation energy (eV per atom): -1.096
Energy relative to the lowest polymorph listed for this composition (meV/atom): 36

***

Material: CeP2H2O8
Method: DFT, GGA-PBE
State: optimized geometry

a = 6.7224 Å, b = 7.0899 Å, c = 15.7705 Å
α = 90.00°, β = 90.00°, γ = 90.00°
Element x y z (fractional)
O1 0.3104 0.2508 0.2319
O2 0.5486 0.9180 0.1134
O3 0.8635 0.7287 0.5440
P1 0.1113 0.2186 0.5718
O4 0.5591 0.2124 0.5145
O5 0.1365 0.2287 0.9560
O6 0.6969 0.4134 0.2341
O7 0.0591 0.2876 0.4855
O8 0.1969 0.0866 0.7659
O9 0.4760 0.4240 0.7843
O10 0.6426 0.1174 0.3612
O11 0.1896 0.7492 0.7319
P2 0.6686 0.4072 0.7331
H1 0.3827 0.8634 0.8513
O12 0.4514 0.4180 0.3866
P3 0.8314 0.5928 0.2331
O13 0.6365 0.2713 0.0440
Ce1 0.1342 0.4282 0.7741
O14 0.9409 0.7876 0.0145
Ce2 0.8658 0.9282 0.7259
P4 0.6113 0.2814 0.4282
H2 0.7902 0.3851 0.4273
H3 0.7098 0.6149 0.9273
O15 0.8574 0.8826 0.8612
Ce3 0.6342 0.0718 0.2259
O16 0.3574 0.6174 0.1388
O17 0.9514 0.0820 0.6134
P5 0.3887 0.7814 0.0718
O18 0.6896 0.7508 0.2681
O19 0.5960 0.2058 0.9736
O20 0.3031 0.9134 0.2659
O21 0.4409 0.7124 0.9855
O22 0.0960 0.2942 0.0264
O23 0.4040 0.7058 0.5264
H4 0.8827 0.6366 0.1487
H5 0.2902 0.1149 0.5727
Ce4 0.3658 0.5718 0.2741
O24 0.8031 0.5866 0.7341
P6 0.1686 0.0928 0.2669
O25 0.3635 0.7713 0.4560
H6 0.2098 0.8851 0.0727
O26 0.0486 0.5820 0.8866
P7 0.8887 0.7186 0.9282
O27 0.5240 0.9240 0.7157
O28 0.8104 0.2492 0.7681
P8 0.3314 0.9072 0.7669
O29 0.9760 0.0760 0.2157
H7 0.1173 0.1366 0.3513
H8 0.6173 0.3634 0.6487
O30 0.9040 0.7942 0.4736
O31 0.0240 0.5760 0.2843
O32 0.1426 0.3826 0.6388

Uncorrected energy (eV/cell): -341.763
Calculated formation energy (eV per atom): -1.815

***

Material: Cr2SbAs
Method: DFT, GGA-PBE
State: optimized geometry

a = 3.8125 Å, b = 3.8125 Å, c = 5.8721 Å
α = 90.00°, β = 90.00°, γ = 120.00°
Element x y z (fractional)
Cr1 0.0000 0.0000 0.7339
Sb1 0.3333 0.6667 0.0000
As1 0.6667 0.3333 0.5000
Cr2 0.0000 0.0000 0.2661

Uncorrected energy (eV/cell): -28.094
Calculated formation energy (eV per atom): 0.000

***

Material: K6CuSi2O8
Method: DFT, GGA-PBE
State: optimized geometry

a = 6.2823 Å, b = 6.7515 Å, c = 7.6147 Å
α = 83.46°, β = 87.66°, γ = 69.85°
Element x y z (fractional)
O1 0.9836 0.4584 0.2466
O2 0.0164 0.5416 0.7534
K1 0.7250 0.1858 0.4410
O3 0.1678 0.0326 0.2150
K2 0.2750 0.8142 0.5590
K3 0.7995 0.3043 0.9755
O4 0.5642 0.7254 0.8422
O5 0.2560 0.2304 0.4880
Si1 0.2194 0.2404 0.2681
K4 0.2005 0.6957 0.0245
K5 0.6534 0.8275 0.1674
Cu1 0.0000 0.5000 0.5000
O6 0.7440 0.7696 0.5120
O7 0.8322 0.9674 0.7850
O8 0.4358 0.2746 0.1578
K6 0.3466 0.1725 0.8326
Si2 0.7806 0.7596 0.7319

Uncorrected energy (eV/cell): -95.115
Calculated formation energy (eV per atom): -2.319

***

Material: BaTiO3
Method: DFT, GGA-PBE
State: optimized geometry

a = 4.0356 Å, b = 4.0356 Å, c = 4.0356 Å
α = 90.00°, β = 90.00°, γ = 90.00°
Element x y z (fractional)
Ti1 0.5000 0.5000 0.5000
Ba1 0.0000 0.0000 0.0000
O1 0.0000 0.5000 0.5000
O2 0.5000 0.5000 0.0000
O3 0.5000 0.0000 0.5000

Uncorrected energy (eV/cell): -39.985
Calculated formation energy (eV per atom): -3.477

***

Material: Rb2LaNb2O8
Method: DFT, GGA-PBE
State: optimized geometry

a = 3.9171 Å, b = 3.9171 Å, c = 14.8416 Å
α = 90.00°, β = 90.00°, γ = 90.00°
Element x y z (fractional)
O1 0.5000 0.5000 0.5000
O2 0.5000 0.0000 0.1248
O3 0.0000 0.5000 0.8752
O4 0.5000 0.0000 0.8752
Nb1 0.5000 0.5000 0.8448
Nb2 0.5000 0.5000 0.1552
La1 0.0000 0.0000 0.0000
Rb1 0.0000 0.0000 0.6149
O5 0.5000 0.5000 0.0000
O6 0.5000 0.5000 0.7229
O7 0.5000 0.5000 0.2771
Rb2 0.0000 0.0000 0.3851
O8 0.0000 0.5000 0.1248

Uncorrected energy (eV/cell): -97.924
Calculated formation energy (eV per atom): -2.826

***

Material: Sr2La4Mg2RuO12
Method: DFT, GGA-PBE
State: optimized geometry

a = 19.2297 Å, b = 19.2297 Å, c = 19.2297 Å
α = 168.32°, β = 168.32°, γ = 16.55°
Element x y z (fractional)
Mg1 0.6664 0.6664 0.0000
O1 0.0557 0.0557 0.0000
Mg2 0.3336 0.3336 0.0000
O2 0.5000 0.0000 0.5000
O3 0.6668 0.1668 0.5000
O4 0.3332 0.8332 0.5000
O5 0.9443 0.9443 0.0000
Sr1 0.5485 0.5485 0.0000
Sr2 0.4515 0.4515 0.0000
La1 0.2125 0.2125 0.0000
O6 0.7263 0.7263 0.0000
O7 0.1668 0.6668 0.5000
O8 0.3902 0.3902 0.0000
Ru1 0.0000 0.0000 0.0000
O9 0.6098 0.6098 0.0000
La2 0.7875 0.7875 0.0000
O10 0.8332 0.3332 0.5000
O11 0.0000 0.5000 0.5000
La3 0.1212 0.1212 0.0000
La4 0.8788 0.8788 0.0000
O12 0.2737 0.2737 0.0000

Uncorrected energy (eV/cell): -153.426
Calculated formation energy (eV per atom): -3.176
Energy relative to the lowest polymorph listed for this composition (meV/atom): 7

***

Material: Rb3Os
Method: DFT, GGA-PBE
State: optimized geometry

a = 6.1597 Å, b = 6.1597 Å, c = 6.1597 Å
α = 60.00°, β = 60.00°, γ = 60.00°
Element x y z (fractional)
Rb1 0.5000 0.5000 0.5000
Rb2 0.2500 0.2500 0.2500
Os1 0.0000 0.0000 0.0000
Rb3 0.7500 0.7500 0.7500

Uncorrected energy (eV/cell): -8.534
Calculated formation energy (eV per atom): 1.409
Energy relative to the lowest polymorph listed for this composition (meV/atom): 0

***

- What is the uncorrected energy in the first record?
  -131.065 eV/cell